(1)
Ca10La6Mg3Ti13O48 PBE-GGA relaxed; SG = P1
1.0
-5.495 0.000 0.000
-0.007 5.562 0.000
-0.017 0.071 -31.189
Ca La Mg Ti O
10 6 3 13 48
direct
0.990 0.038 0.938 Ca
0.515 0.544 0.438 Ca
0.515 0.543 0.187 Ca
0.514 0.541 0.938 Ca
0.488 0.461 0.061 Ca
0.483 0.455 0.814 Ca
0.010 0.961 0.310 Ca
0.009 0.962 0.060 Ca
0.016 0.962 0.814 Ca
0.011 0.962 0.560 Ca
0.990 0.030 0.188 La
0.993 0.027 0.439 La
0.994 0.028 0.692 La
0.509 0.532 0.692 La
0.488 0.465 0.309 La
0.490 0.467 0.558 La
0.499 0.999 0.250 Mg
0.499 0.000 0.500 Mg
0.501 0.001 0.753 Mg
0.002 0.500 0.999 Ti
0.001 0.500 0.498 Ti
0.999 0.491 0.877 Ti
0.493 0.007 0.123 Ti
0.500 0.001 0.999 Ti
0.497 0.998 0.624 Ti
0.493 0.996 0.374 Ti
0.508 0.990 0.874 Ti
0.999 0.507 0.122 Ti
0.001 0.501 0.247 Ti
0.992 0.498 0.374 Ti
0.997 0.500 0.625 Ti
0.999 0.500 0.757 Ti
0.915 0.518 0.062 O
0.922 0.520 0.314 O
0.922 0.521 0.564 O
0.910 0.527 0.815 O
0.781 0.774 0.135 O
0.780 0.774 0.386 O
0.787 0.774 0.490 O
0.784 0.770 0.739 O
0.774 0.772 0.636 O
0.783 0.785 0.888 O
0.787 0.774 0.239 O
0.783 0.781 0.989 O
0.721 0.277 0.136 O
0.722 0.293 0.238 O
0.724 0.284 0.387 O
0.722 0.293 0.489 O
0.729 0.285 0.739 O
0.720 0.283 0.989 O
0.726 0.279 0.636 O
0.723 0.288 0.888 O
0.583 0.020 0.062 O
0.589 0.021 0.315 O
0.591 0.029 0.817 O
0.588 0.019 0.565 O
0.421 0.979 0.434 O
0.421 0.977 0.183 O
0.425 0.988 0.685 O
0.417 0.981 0.939 O
0.280 0.717 0.011 O
0.275 0.716 0.112 O
0.270 0.714 0.260 O
0.277 0.722 0.363 O
0.274 0.709 0.761 O
0.271 0.715 0.511 O
0.277 0.723 0.614 O
0.284 0.722 0.865 O
0.218 0.221 0.011 O
0.206 0.224 0.261 O
0.215 0.214 0.113 O
0.206 0.224 0.512 O
0.205 0.222 0.761 O
0.215 0.225 0.865 O
0.218 0.221 0.363 O
0.224 0.224 0.614 O
0.087 0.483 0.186 O
0.089 0.484 0.437 O
0.078 0.488 0.686 O
0.086 0.481 0.938 O

=====

(2)
Ca2La2MgTi3O12 PBE-GGA relaxed; SG = P2_1/c; distance to the lowest polymorph of the same formula = 10.1 meV per atom
1.0
-1.293 5.138 -1.542
-5.376 -1.025 1.093
2.045 4.914 14.662
Ca La Mg Ti O
4 4 2 6 24
direct
0.990 0.038 0.879 Ca
0.510 0.538 0.879 Ca
0.490 0.462 0.121 Ca
0.010 0.962 0.121 Ca
0.985 0.031 0.381 La
0.515 0.531 0.381 La
0.485 0.469 0.619 La
0.015 0.969 0.619 La
0.500 0.000 0.500 Mg
0.000 0.500 0.500 Mg
0.000 0.500 0.000 Ti
0.494 0.009 0.245 Ti
0.500 0.000 0.000 Ti
0.506 0.991 0.755 Ti
0.006 0.509 0.245 Ti
0.994 0.491 0.755 Ti
0.916 0.519 0.122 O
0.920 0.516 0.636 O
0.778 0.773 0.269 O
0.783 0.783 0.478 O
0.778 0.783 0.778 O
0.781 0.781 0.978 O
0.722 0.273 0.269 O
0.717 0.283 0.478 O
0.722 0.283 0.778 O
0.719 0.281 0.978 O
0.584 0.019 0.122 O
0.580 0.016 0.636 O
0.416 0.981 0.878 O
0.420 0.984 0.364 O
0.281 0.719 0.022 O
0.278 0.717 0.222 O
0.283 0.717 0.522 O
0.278 0.727 0.731 O
0.219 0.219 0.022 O
0.222 0.217 0.222 O
0.217 0.217 0.522 O
0.222 0.227 0.731 O
0.080 0.484 0.364 O
0.084 0.481 0.878 O

=====

(3)
The following is a PBE-GGA calculation of an optimized crystal structure of Na4CaLaP3O12, from the Materials Project database.

Structure (POSCAR):
```
Na4CaLaP3O12
1.0
9.595 0.000 0.000
-4.798 8.310 0.000
0.000 0.000 23.612
Na Ca La P O
24 6 6 18 72
direct
0.638 0.012 0.248 Na
0.373 0.362 0.248 Na
0.988 0.627 0.248 Na
0.638 0.627 0.748 Na
0.988 0.362 0.748 Na
0.373 0.012 0.748 Na
0.305 0.345 0.581 Na
0.040 0.695 0.581 Na
0.655 0.960 0.581 Na
0.305 0.960 0.081 Na
0.655 0.695 0.081 Na
0.040 0.345 0.081 Na
0.972 0.678 0.914 Na
0.707 0.028 0.914 Na
0.322 0.293 0.914 Na
0.972 0.293 0.414 Na
0.322 0.028 0.414 Na
0.707 0.678 0.414 Na
0.000 0.000 0.494 Na
0.000 0.000 0.994 Na
0.667 0.333 0.828 Na
0.667 0.333 0.328 Na
0.333 0.667 0.161 Na
0.333 0.667 0.661 Na
0.000 0.000 0.347 Ca
0.000 0.000 0.847 Ca
0.667 0.333 0.680 Ca
0.667 0.333 0.180 Ca
0.333 0.667 0.013 Ca
0.333 0.667 0.513 Ca
0.000 0.000 0.654 La
0.000 0.000 0.154 La
0.667 0.333 0.988 La
0.667 0.333 0.488 La
0.333 0.667 0.321 La
0.333 0.667 0.821 La
0.310 0.004 0.251 P
0.695 0.690 0.251 P
0.996 0.305 0.251 P
0.310 0.305 0.751 P
0.996 0.690 0.751 P
0.695 0.004 0.751 P
0.976 0.338 0.585 P
0.361 0.024 0.585 P
0.662 0.639 0.585 P
0.976 0.639 0.085 P
0.662 0.024 0.085 P
0.361 0.338 0.085 P
0.643 0.671 0.918 P
0.028 0.357 0.918 P
0.329 0.972 0.918 P
0.643 0.972 0.418 P
0.329 0.357 0.418 P
0.028 0.671 0.418 P
0.222 0.019 0.304 O
0.797 0.778 0.304 O
0.981 0.203 0.304 O
0.222 0.203 0.804 O
0.981 0.778 0.804 O
0.797 0.019 0.804 O
0.774 0.983 0.697 O
0.209 0.226 0.697 O
0.017 0.791 0.697 O
0.774 0.791 0.197 O
0.017 0.226 0.197 O
0.209 0.983 0.197 O
0.889 0.353 0.637 O
0.464 0.111 0.637 O
0.647 0.536 0.637 O
0.889 0.536 0.137 O
0.647 0.111 0.137 O
0.464 0.353 0.137 O
0.440 0.316 0.030 O
0.876 0.560 0.030 O
0.684 0.124 0.030 O
0.440 0.124 0.530 O
0.684 0.560 0.530 O
0.876 0.316 0.530 O
0.556 0.686 0.970 O
0.130 0.444 0.970 O
0.314 0.870 0.970 O
0.556 0.870 0.470 O
0.314 0.444 0.470 O
0.130 0.686 0.470 O
0.107 0.649 0.364 O
0.542 0.893 0.364 O
0.351 0.458 0.364 O
0.107 0.458 0.864 O
0.351 0.893 0.864 O
0.542 0.649 0.864 O
0.013 0.825 0.415 O
0.812 0.987 0.415 O
0.175 0.188 0.415 O
0.013 0.188 0.915 O
0.175 0.987 0.915 O
0.812 0.825 0.915 O
0.996 0.186 0.587 O
0.190 0.004 0.587 O
0.814 0.810 0.587 O
0.996 0.810 0.087 O
0.814 0.004 0.087 O
0.190 0.186 0.087 O
0.680 0.158 0.748 O
0.479 0.320 0.748 O
0.842 0.521 0.748 O
0.680 0.521 0.248 O
0.842 0.320 0.248 O
0.479 0.158 0.248 O
0.663 0.519 0.920 O
0.857 0.337 0.920 O
0.481 0.143 0.920 O
0.663 0.143 0.420 O
0.481 0.337 0.420 O
0.857 0.519 0.420 O
0.346 0.492 0.081 O
0.145 0.654 0.081 O
0.508 0.855 0.081 O
0.346 0.855 0.581 O
0.508 0.654 0.581 O
0.145 0.492 0.581 O
0.329 0.852 0.253 O
0.523 0.671 0.253 O
0.148 0.477 0.253 O
0.329 0.477 0.753 O
0.148 0.671 0.753 O
0.523 0.852 0.753 O
```

=====

(4)
Na7CaLa3P6O24 PBE-GGA relaxed; SG = P1
1.0
9.641 0.000 -0.001
-4.821 8.326 0.041
-0.003 0.118 24.188
Na Ca La P O
21 3 9 18 72
direct
0.639 0.010 0.246 Na
0.372 0.360 0.247 Na
0.988 0.629 0.245 Na
0.637 0.627 0.746 Na
0.988 0.362 0.748 Na
0.375 0.011 0.747 Na
0.029 0.697 0.585 Na
0.666 0.970 0.585 Na
0.305 0.972 0.085 Na
0.668 0.696 0.085 Na
0.698 0.032 0.919 Na
0.335 0.302 0.919 Na
0.968 0.292 0.412 Na
0.323 0.030 0.413 Na
0.709 0.678 0.412 Na
0.009 0.008 0.498 Na
0.000 0.000 0.002 Na
0.676 0.342 0.833 Na
0.667 0.333 0.326 Na
0.324 0.658 0.164 Na
0.334 0.657 0.664 Na
0.000 0.999 0.346 Ca
0.661 0.332 0.679 Ca
0.671 0.333 0.180 Ca
0.000 0.989 0.848 La
0.011 0.011 0.651 La
0.000 0.012 0.152 La
0.683 0.344 0.987 La
0.661 0.334 0.488 La
0.317 0.656 0.017 La
0.333 0.657 0.516 La
0.334 0.668 0.319 La
0.328 0.668 0.821 La
0.306 0.005 0.251 P
0.698 0.693 0.252 P
0.995 0.304 0.254 P
0.311 0.307 0.752 P
0.996 0.689 0.746 P
0.695 0.003 0.749 P
0.963 0.335 0.585 P
0.364 0.023 0.585 P
0.671 0.642 0.586 P
0.970 0.643 0.089 P
0.660 0.025 0.084 P
0.373 0.334 0.085 P
0.632 0.666 0.917 P
0.025 0.354 0.913 P
0.339 0.979 0.917 P
0.643 0.973 0.417 P
0.329 0.355 0.414 P
0.028 0.670 0.417 P
0.223 0.021 0.303 O
0.797 0.777 0.304 O
0.978 0.208 0.308 O
0.231 0.208 0.806 O
0.977 0.778 0.797 O
0.798 0.020 0.802 O
0.778 0.980 0.698 O
0.198 0.220 0.703 O
0.021 0.792 0.694 O
0.779 0.798 0.199 O
0.021 0.219 0.204 O
0.202 0.983 0.199 O
0.878 0.349 0.636 O
0.463 0.110 0.636 O
0.656 0.543 0.637 O
0.892 0.548 0.142 O
0.648 0.111 0.136 O
0.472 0.349 0.136 O
0.453 0.319 0.031 O
0.869 0.556 0.037 O
0.676 0.120 0.030 O
0.442 0.118 0.530 O
0.685 0.561 0.532 O
0.868 0.319 0.531 O
0.544 0.682 0.968 O
0.135 0.447 0.962 O
0.323 0.876 0.969 O
0.557 0.868 0.469 O
0.309 0.445 0.464 O
0.131 0.688 0.469 O
0.110 0.647 0.365 O
0.538 0.891 0.365 O
0.354 0.457 0.361 O
0.100 0.446 0.858 O
0.352 0.896 0.864 O
0.534 0.650 0.864 O
0.014 0.824 0.413 O
0.810 0.987 0.413 O
0.177 0.186 0.412 O
0.014 0.186 0.914 O
0.194 0.007 0.915 O
0.798 0.823 0.914 O
0.974 0.178 0.587 O
0.188 0.992 0.586 O
0.828 0.812 0.586 O
0.984 0.813 0.088 O
0.804 0.992 0.086 O
0.205 0.177 0.086 O
0.679 0.156 0.745 O
0.477 0.321 0.746 O
0.844 0.520 0.745 O
0.680 0.524 0.248 O
0.842 0.317 0.248 O
0.476 0.157 0.247 O
0.642 0.510 0.920 O
0.853 0.326 0.918 O
0.497 0.146 0.919 O
0.661 0.143 0.420 O
0.482 0.339 0.419 O
0.857 0.518 0.421 O
0.361 0.491 0.081 O
0.145 0.672 0.084 O
0.502 0.856 0.082 O
0.353 0.855 0.583 O
0.526 0.672 0.583 O
0.131 0.491 0.582 O
0.325 0.852 0.254 O
0.526 0.674 0.254 O
0.147 0.477 0.255 O
0.330 0.479 0.754 O
0.150 0.674 0.752 O
0.524 0.850 0.753 O

=====

Results for energy with MP2020 corrections: -682.157, -340.995, -896.585, -900.004 (in eV/cell, following the order of the records).
Results for uncorrected energy: -8.11, -8.11, -6.72, -6.91 (in eV per atom, following the order of the records).